(1)
Tm3Co6Sn5 after structural relaxation, computed with PBE.

Cell and atoms, written as extended XYZ:
```
14
Lattice="-4.2991 0.0000 0.0000 -2.1496 -4.7778 6.1240 -2.1496 4.7778 6.1240" Properties=species:S:1:pos:R:3 pbc="T T T"
Tm 0.0000 0.0000 0.0000
Tm -4.2991 0.0000 3.8812
Tm -4.2991 0.0000 8.3668
Co -4.2991 1.8692 6.1240
Co -4.2991 -1.8692 6.1240
Co -6.4487 -2.1667 7.4483
Co -2.1496 2.1667 4.7997
Co -6.4487 2.1667 7.4483
Co -2.1496 -2.1667 4.7997
Sn -6.4487 -1.5039 10.0826
Sn -2.1496 1.5039 2.1654
Sn -6.4487 1.5039 10.0826
Sn -2.1496 -1.5039 2.1654
Sn -2.1496 0.0000 6.1240
```

Values from the calculation:
Crystal system: orthorhombic
SG: Immm (71)

(2)
UCo2Sn after structural relaxation, computed with PBE.

Cell and atoms, written as extended XYZ:
```
16
Lattice="-4.2667 0.5508 0.0095 -0.6706 -5.1234 -4.1491 -0.7308 -5.7866 7.2635" Properties=species:S:1:pos:R:3 pbc="T T T"
U -1.3486 -2.0365 -0.5569
U -4.3195 -8.3227 3.6808
U -4.0357 -6.0524 -0.4555
U -1.6324 -4.3068 3.5795
Co -1.3619 -2.1839 2.0075
Co -4.3062 -8.1753 1.1165
Co -3.7207 -3.6007 -1.1537
Co -1.9474 -6.7585 4.2777
Co -1.7008 -4.7845 0.5526
Co -3.9673 -5.5747 2.5714
Co -3.3094 -0.4473 0.7489
Co -2.3586 -9.9119 2.3751
Sn -1.7033 -4.7547 -2.2975
Sn -3.9647 -5.6045 5.4215
Sn -3.6635 -3.2012 1.3929
Sn -2.0046 -7.1580 1.7310
```

Values from the calculation:
Crystal system: orthorhombic
SG: Pnma (62)

(3)
Y6Co2Sn after structural relaxation, computed with PBE.

Cell and atoms, written as extended XYZ:
```
18
Lattice="-6.2666 -5.5612 0.9764 0.0429 4.9865 6.8031 -1.2125 4.4868 -7.0391" Properties=species:S:1:pos:R:3 pbc="T T T"
Y -3.0188 -0.3591 0.5459
Y -4.4173 4.2713 0.1946
Y -1.0986 4.5777 -3.9538
Y -6.3376 -0.6655 4.6942
Y -1.7200 2.4941 -1.1918
Y -5.7162 1.4181 1.9322
Y -2.2245 6.5806 -1.2935
Y -5.2117 -2.6684 2.0340
Y -2.3584 2.7337 2.4250
Y -5.0778 1.1785 -1.6845
Y -2.8503 1.3841 -4.4688
Y -4.5859 2.5281 5.2092
Co -2.7000 -0.3879 -2.1887
Co -4.7790 -0.6865 -3.8740
Co -1.2841 4.6721 0.7561
Co -6.1521 -0.7599 -0.0156
Sn -3.1119 -0.2873 3.8898
Sn 0.0000 0.0000 0.0000
```

Values from the calculation:
Crystal system: orthorhombic
SG: Immm (71)

(4)
Y3Co8Sn4 after structural relaxation, computed with PBE.

Cell and atoms, written as extended XYZ:
```
30
Lattice="4.4623 -7.7290 0.0000 4.4623 7.7290 0.0000 0.0000 0.0000 7.4484" Properties=species:S:1:pos:R:3 pbc="T T T"
Y 4.4623 -0.4443 0.0028
Y 4.4623 0.4443 3.7270
Y 6.3087 -3.6423 0.0028
Y 2.6160 -3.6423 0.0028
Y 6.3087 3.6423 3.7270
Y 2.6160 3.6423 3.7270
Co 1.3043 0.7530 3.5456
Co 0.0000 0.0000 1.6498
Co 0.0000 0.0000 5.3740
Co 4.4623 -2.5763 2.1991
Co 4.4623 2.5763 5.9233
Co 4.4623 -6.2229 7.2698
Co 4.4623 5.2742 1.2609
Co 2.1260 -1.2274 4.9851
Co 6.7987 -1.2274 4.9851
Co 2.1260 1.2274 1.2609
Co 6.7987 1.2274 1.2609
Co 4.4623 -5.2742 4.9851
Co 4.4623 6.2229 3.5456
Co 1.3043 -0.7530 7.2698
Co 7.6204 -0.7530 7.2698
Co 7.6204 0.7530 3.5456
Sn 4.4623 5.0788 5.9261
Sn 2.2952 -1.3251 2.2020
Sn 6.6295 -1.3251 2.2020
Sn 2.2952 1.3251 5.9261
Sn 6.6295 1.3251 5.9261
Sn 4.4623 -5.0788 2.2020
Sn 4.4623 2.5763 1.2559
Sn 4.4623 -2.5763 4.9801
```

Values from the calculation:
Crystal system: hexagonal
SG: P6_3mc (186)

(5)
Y7Co6Sn23 after structural relaxation, computed with PBE.

Cell and atoms, written as extended XYZ:
```
36
Lattice="-6.1943 -1.1697 7.8986 3.9017 -8.1051 -4.6053 8.5762 0.2831 6.7676" Properties=species:S:1:pos:R:3 pbc="T T T"
Y 0.0000 0.0000 0.0000
Y 2.0425 -4.7678 10.1216
Y 3.0217 -0.8065 8.7150
Y 4.6881 -4.2682 6.7481
Y 4.2410 -4.2240 -0.0607
Y 3.2619 -8.1853 1.3459
Y 1.5955 -4.7236 3.3128
Co 5.6522 -1.7892 7.9374
Co 4.6964 -5.6556 9.3103
Co 3.0699 -2.2768 11.2301
Co 0.6314 -7.2026 2.1235
Co 1.5871 -3.3362 0.7506
Co 3.2136 -6.7150 -1.1692
Sn -1.0800 -3.4238 5.1108
Sn 7.3636 -5.5680 4.9501
Sn 1.8806 -2.2575 5.5664
Sn 1.1576 -5.1827 6.6050
Sn -0.0730 -2.6264 8.0575
Sn 4.4029 -6.7343 4.4945
Sn 5.1260 -3.8091 3.4559
Sn 6.3565 -6.3654 2.0034
Sn 4.8744 -1.0014 5.8920
Sn 3.3682 -7.0946 8.0556
Sn 0.8050 -1.7698 11.0810
Sn 1.4092 -7.9904 4.1689
Sn 2.9153 -1.8972 2.0053
Sn 5.4786 -7.2219 -1.0201
Sn 4.2881 0.1415 3.3838
Sn -2.1586 -0.4076 2.7525
Sn -1.4937 -6.0428 2.1456
Sn 1.3596 -2.8245 -1.6048
Sn -0.7989 -3.2321 1.1476
Sn 2.5420 -5.2807 -3.0004
Sn -4.0357 -0.7621 5.1461
Sn 4.8301 -3.2287 9.7746
Sn 1.4534 -5.7631 0.2863
```

Values from the calculation:
Crystal system: trigonal
SG: P-3m1 (164)
Energy relative to the lowest polymorph listed for this composition, meV/atom: 291

(6)
YCoSn after structural relaxation, computed with PBE.

Cell and atoms, written as extended XYZ:
```
12
Lattice="-2.2042 0.8601 -3.8662 -1.0090 -7.0286 -0.9884 -6.4922 0.3990 3.7900" Properties=species:S:1:pos:R:3 pbc="T T T"
Y -6.7312 -6.3708 1.0916
Y -5.5873 -2.8958 1.2125
Y -2.9742 0.6014 -2.1562
Y -4.1182 -2.8735 -2.2771
Co -3.4881 -0.8812 0.4640
Co -1.7280 -4.5347 -1.3523
Co -6.2173 -4.8881 -1.5286
Co -7.9774 -1.2347 0.2877
Sn -3.9926 -5.2788 -0.2267
Sn -1.4749 -1.8883 -0.9078
Sn -5.7128 -0.4906 -0.8379
Sn -8.2305 -3.8811 -0.1568
```

Values from the calculation:
Crystal system: orthorhombic
SG: Pnma (62)

(7)
Y7Co6Sn23 after structural relaxation, computed with PBE.

Cell and atoms, written as extended XYZ:
```
36
Lattice="-3.7846 7.9074 4.2007 2.5043 -7.6625 5.4323 9.1612 3.7890 1.1212" Properties=species:S:1:pos:R:3 pbc="T T T"
Y 0.0000 0.0000 0.0000
Y 3.9447 -2.4936 3.3617
Y 3.3886 -2.3872 7.5465
Y 2.3006 0.9415 5.1866
Y 3.9362 6.5275 7.3927
Y 4.4923 6.4211 3.2078
Y 5.5803 3.0924 5.5678
Co 8.8057 -2.0138 6.1263
Co 6.9222 1.9217 8.2169
Co 7.5594 1.7998 3.4226
Co -0.9248 6.0477 4.6281
Co 0.9587 2.1122 2.5374
Co 0.3215 2.2341 7.3318
Sn 4.5806 1.8945 0.5606
Sn 4.2802 -4.7929 5.5954
Sn 1.8297 0.3271 8.3154
Sn 2.6586 0.1685 2.0780
Sn 3.6007 8.8268 5.1589
Sn 6.0512 3.7068 2.4389
Sn 5.2222 3.8653 8.6764
Sn -1.3083 2.7336 1.4522
Sn -0.8377 0.1602 6.3030
Sn 0.8657 -2.6489 1.8779
Sn -0.4426 0.0847 3.3301
Sn 1.6386 -5.0136 3.5544
Sn -2.4762 5.1738 2.7486
Sn 2.5897 3.5800 6.8417
Sn 1.7299 6.2105 4.9768
Sn 3.0292 3.4959 3.5346
Sn 5.2912 0.4539 3.9126
Sn 6.1510 -2.1767 5.7776
Sn 4.8517 0.5380 7.2197
Sn -0.0149 3.4095 4.8161
Sn 7.8958 0.6244 5.9383
Sn 6.4153 6.0690 5.6031
Sn 1.4656 -2.0351 5.1513
```

Values from the calculation:
Crystal system: trigonal
SG: P-3m1 (164)
Energy relative to the lowest polymorph listed for this composition, meV/atom: 0

(8)
Zr18Co5Sn4 after structural relaxation, computed with PBE.

Cell and atoms, written as extended XYZ:
```
27
Lattice="3.3494 0.0000 0.0000 0.0000 8.0132 0.0000 0.0000 4.0027 20.8173" Properties=species:S:1:pos:R:3 pbc="T T T"
Zr 0.0000 6.0715 0.0144
Zr 0.0000 6.0441 13.8349
Zr 0.0000 2.0403 6.9013
Zr 0.0000 8.9738 15.5714
Zr 0.0000 4.9634 8.6247
Zr 0.0000 0.9546 1.7360
Zr 0.0000 4.9900 19.1616
Zr 0.0000 9.0008 12.1731
Zr 0.0000 5.0164 5.2624
Zr 1.6747 3.1662 13.8584
Zr 1.6747 7.3204 7.2596
Zr 1.6747 3.3066 0.3320
Zr 1.6747 10.4277 18.0815
Zr 1.6747 6.6351 10.8295
Zr 1.6747 2.6478 3.9177
Zr 1.6747 6.4329 16.6230
Zr 1.6747 2.0656 9.6231
Zr 1.6747 6.0635 2.7231
Co 1.6747 0.0183 0.0307
Co 1.6747 7.9950 13.8406
Co 1.6747 4.0070 6.9407
Co 0.0000 8.0175 9.2695
Co 0.0000 4.0013 2.3035
Sn 0.0000 7.9751 18.6016
Sn 0.0000 4.0307 11.4710
Sn 0.0000 8.0161 4.6312
Sn 0.0000 4.0057 16.1909
```

Values from the calculation:
Crystal system: monoclinic
SG: Pm (6)

(9)
Zr6CoSn2 after structural relaxation, computed with PBE.

Cell and atoms, written as extended XYZ:
```
9
Lattice="3.9989 -6.9263 0.0000 3.9989 6.9263 0.0000 0.0000 0.0000 3.5035" Properties=species:S:1:pos:R:3 pbc="T T T"
Zr 0.9666 -1.6742 1.7518
Zr 0.9666 1.6742 1.7518
Zr 6.0646 0.0000 1.7518
Zr 2.4088 -4.1722 0.0000
Zr 2.4088 4.1722 0.0000
Zr 3.1802 0.0000 0.0000
Co 0.0000 0.0000 0.0000
Sn 3.9989 2.3088 1.7518
Sn 3.9989 -2.3088 1.7518
```

Values from the calculation:
Crystal system: hexagonal
SG: P-62m (189)

(10)
ZrCoSn after structural relaxation, computed with PBE.

Cell and atoms, written as extended XYZ:
```
9
Lattice="3.5784 -6.1980 0.0000 3.5784 6.1980 0.0000 0.0000 0.0000 3.6100" Properties=species:S:1:pos:R:3 pbc="T T T"
Zr 2.8484 0.0000 1.8050
Zr 2.1542 3.7312 1.8050
Zr 2.1542 -3.7312 1.8050
Co 0.0000 0.0000 1.8050
Co 3.5784 2.0660 0.0000
Co 3.5784 -2.0660 0.0000
Sn 0.9491 1.6438 0.0000
Sn 0.9491 -1.6438 0.0000
Sn 5.2587 0.0000 0.0000
```

Values from the calculation:
Crystal system: hexagonal
SG: P-62m (189)

(11)
SrZrCo after structural relaxation, computed with PBE.

Cell and atoms, written as extended XYZ:
```
3
Lattice="0.0000 3.2844 3.2844 3.2844 0.0000 3.2844 3.2844 3.2844 0.0000" Properties=species:S:1:pos:R:3 pbc="T T T"
Sr 3.2844 3.2844 3.2844
Zr 4.9266 4.9266 4.9266
Co 0.0000 0.0000 0.0000
```

Values from the calculation:
Crystal system: cubic
SG: F-43m (216)

(12)
Ta4Co after structural relaxation, computed with PBE.

Cell and atoms, written as extended XYZ:
```
10
Lattice="-4.6016 -4.6016 0.0000 -4.6016 0.0000 -4.6016 0.0000 -4.6016 -4.6016" Properties=species:S:1:pos:R:3 pbc="T T T"
Ta -5.6029 -5.6029 -5.6029
Ta -3.6002 -3.6002 -5.6029
Ta -3.6002 -5.6029 -3.6002
Ta -3.3021 -3.3021 -1.2994
Ta -1.2994 -1.2994 -1.2994
Ta -5.6029 -3.6002 -3.6002
Ta -3.3021 -1.2994 -3.3021
Ta -1.2994 -3.3021 -3.3021
Co 0.0000 0.0000 0.0000
Co -6.9023 -6.9023 -6.9023
```

Values from the calculation:
Crystal system: cubic
SG: Fd-3m (227)

(13)
TaCo3 after structural relaxation, computed with PBE.

Cell and atoms, written as extended XYZ:
```
12
Lattice="6.4270 -2.5814 0.0000 6.4270 2.5814 0.0000 5.3902 0.0000 4.3493" Properties=species:S:1:pos:R:3 pbc="T T T"
Ta 0.0000 0.0000 0.0000
Ta 3.9851 0.0000 0.9500
Ta 14.2591 0.0000 3.3993
Co 6.4270 0.0000 0.0000
Co 5.9086 -1.2907 2.1746
Co 5.9086 1.2907 2.1746
Co 9.9914 1.2186 3.1051
Co 10.4808 0.0000 1.0520
Co 9.9914 -1.2186 3.1051
Co 8.2529 1.2186 1.2441
Co 8.2529 -1.2186 1.2441
Co 7.7634 0.0000 3.2973
```

Values from the calculation:
Crystal system: trigonal
SG: R-3m (166)

(14)
TaCo3 after structural relaxation, computed with PBE.

Cell and atoms, written as extended XYZ:
```
8
Lattice="-4.9532 0.7769 -1.3335 3.4697 -1.3820 -3.6010 -0.8318 -4.0265 0.7439" Properties=species:S:1:pos:R:3 pbc="T T T"
Ta 0.4541 -1.6690 -2.6592
Ta -2.7694 -2.9626 -1.5314
Co -3.8279 -0.5715 -1.5064
Co -2.0059 -1.2972 -3.3974
Co -1.2268 -0.9794 -0.8062
Co 1.5126 -4.0602 -2.6842
Co -0.3095 -3.3344 -0.7932
Co -1.0885 -3.6522 -3.3844
```

Values from the calculation:
Crystal system: hexagonal
SG: P6_3/mmc (194)

(15)
TaCo3 after structural relaxation, computed with PBE.

Cell and atoms, written as extended XYZ:
```
4
Lattice="-0.8591 2.4295 2.5680 -0.7190 -2.7076 2.3210 3.4612 0.0406 1.1195" Properties=species:S:1:pos:R:3 pbc="T T T"
Ta 0.0000 0.0000 0.0000
Co 1.3711 -1.3335 1.7203
Co -0.7890 -0.1391 2.4445
Co 1.3011 1.2350 1.8438
```

Values from the calculation:
Crystal system: cubic
SG: Pm-3m (221)

(16)
TaCo3 after structural relaxation, computed with PBE.

Cell and atoms, written as extended XYZ:
```
12
Lattice="2.3495 -4.0695 0.0000 2.3495 4.0695 0.0000 0.0000 0.0000 7.6658" Properties=species:S:1:pos:R:3 pbc="T T T"
Ta 0.0000 0.0000 3.4736
Ta 0.0000 0.0000 0.5366
Ta 2.3495 1.3565 6.9456
Co 2.3495 -1.3565 3.8399
Co 2.3495 -1.3565 0.0382
Co 3.5368 -0.6710 5.7510
Co 2.3495 -2.7275 5.7510
Co 1.1623 -0.6710 5.7510
Co 3.4941 2.0173 1.9296
Co 2.3495 0.0349 1.9296
Co 1.2050 2.0173 1.9296
Co 2.3495 1.3565 4.2866
```

Values from the calculation:
Crystal system: trigonal
SG: P3m1 (156)

(17)
TaCo3 after structural relaxation, computed with PBE.

Cell and atoms, written as extended XYZ:
```
24
Lattice="-0.2650 4.6295 0.8263 3.1029 2.0576 2.8826 9.3402 2.6702 -11.9600" Properties=species:S:1:pos:R:3 pbc="T T T"
Ta 0.5877 4.8729 -0.2654
Ta 11.5903 4.4845 -7.9858
Ta 4.2381 3.1703 -2.9794
Ta 7.9399 6.1870 -5.2718
Ta 9.7428 6.7026 -7.5805
Ta 2.4353 2.6547 -0.6707
Co 9.0364 4.1378 -6.8624
Co 7.3092 5.4569 -7.9174
Co 7.4449 3.0824 -8.3410
Co 3.1416 5.2195 -1.3888
Co 4.8688 3.9004 -0.3338
Co 4.7332 6.2750 0.0898
Co 4.5376 3.6498 -5.5669
Co 6.2215 2.3639 -4.5387
Co 6.0890 4.6787 -4.1256
Co -0.1325 2.3148 0.4131
Co 1.5514 1.0288 1.4413
Co 1.4189 3.3436 1.8544
Co 6.7889 3.8992 -6.2454
Co 5.3891 5.4581 -2.0057
Co 3.0903 4.8011 0.9377
Co 9.0877 4.5562 -9.1889
Co 8.5793 3.6235 -4.1301
Co 3.5987 5.7339 -4.1211
```

Values from the calculation:
Crystal system: trigonal
SG: P-3m1 (164)

Number 1: calculated total energy -5.768 eV/atom, energy of formation from the pure elements -4.6 eV per formula unit. Number 2: calculated total energy -7.527 eV/atom, energy of formation from the pure elements -0.6 eV per formula unit. Number 3: calculated total energy -6.669 eV/atom, energy of formation from the pure elements -3.0 eV per formula unit. Number 4: calculated total energy -6.469 eV/atom, energy of formation from the pure elements -4.7 eV per formula unit. Number 5: calculated total energy -5.131 eV/atom, energy of formation from the pure elements -4.6 eV per formula unit. Number 6: calculated total energy -6.356 eV/atom, energy of formation from the pure elements -1.5 eV per formula unit. Number 7: calculated total energy -5.422 eV/atom, energy of formation from the pure elements -15.1 eV per formula unit. Number 8: calculated total energy -7.998 eV/atom, energy of formation from the pure elements -10.5 eV per formula unit. Number 9: calculated total energy -7.814 eV/atom, energy of formation from the pure elements -3.9 eV per formula unit. Number 10: calculated total energy -7.030 eV/atom, energy of formation from the pure elements -1.4 eV per formula unit. Number 11: calculated total energy -4.707 eV/atom, energy of formation from the pure elements 3.2 eV per formula unit. Number 12: calculated total energy -9.870 eV/atom, energy of formation from the pure elements 5.2 eV per formula unit. Number 13: calculated total energy -8.534 eV/atom, energy of formation from the pure elements -1.0 eV per formula unit. Number 14: calculated total energy -8.529 eV/atom, energy of formation from the pure elements -0.9 eV per formula unit. Number 15: calculated total energy -8.532 eV/atom, energy of formation from the pure elements -0.9 eV per formula unit. Number 16: calculated total energy -8.451 eV/atom, energy of formation from the pure elements -0.6 eV per formula unit. Number 17: calculated total energy -8.437 eV/atom, energy of formation from the pure elements -0.6 eV per formula unit.